Record 1
Density functional theory data (GGA-PBE) for a relaxed Na2Y8SiS11O48 crystal.

extended XYZ file:
```
210
Lattice="-1.153 5.324 -17.692 3.922 -8.098 2.154 -21.425 -10.884 -1.881" Properties=species:S:1:pos:R:3 pbc="T T T"
Na -6.815 -13.464 1.179
Na -21.847 -8.250 -10.710
Na -16.986 -10.004 -6.832
Na -17.371 -7.351 -15.654
Na -6.243 -4.554 -5.784
Na -6.850 -1.989 -14.764
Y -3.705 -11.879 1.447
Y -4.284 -9.308 -7.348
Y -15.523 -11.954 -17.136
Y -18.820 -6.712 -10.437
Y -10.090 -15.131 0.906
Y -10.494 -12.451 -7.927
Y -4.240 3.734 -17.958
Y 0.168 -7.041 -6.972
Y -13.764 -8.396 -6.451
Y -14.353 -5.787 -15.396
Y -3.000 -2.933 -5.500
Y -3.599 -0.253 -14.397
Y -20.032 -11.548 -7.093
Y -20.654 -8.934 -15.886
Y -9.436 -6.191 -6.081
Y -9.929 -3.544 -15.012
Y 2.007 -4.712 -1.533
Y 1.435 -1.966 -10.349
Y -8.709 -10.220 -2.385
Y -9.365 -7.559 -11.344
Y -4.327 -7.950 -1.984
Y -4.848 -5.244 -10.964
Y -14.894 -13.346 -2.944
Y -15.620 -10.649 -11.817
Si -14.472 -8.561 -17.554
Si -18.776 -10.220 -10.119
Si -6.344 -9.825 0.319
S -5.504 -1.953 -3.062
S -6.112 0.698 -11.900
S -3.003 -6.571 -5.218
S -3.562 -3.896 -14.058
S -5.370 0.252 -17.524
S -4.803 -2.428 -8.675
S -15.105 -9.753 -3.385
S -15.665 -7.068 -12.213
S -13.868 -11.242 -8.719
S -16.463 -6.281 -7.685
S -13.147 -11.725 -14.351
S -11.749 -6.493 -8.850
S -12.329 -3.798 -17.717
S -12.544 -5.699 -4.313
S -13.116 -3.035 -13.171
S -10.431 -9.640 -5.648
S -10.986 -6.984 -14.497
S 0.119 -3.433 -7.289
S -0.461 -0.756 -16.136
S -2.011 0.543 -5.970
S -2.583 3.193 -14.802
S -0.682 -2.608 -2.756
S -1.280 0.060 -11.604
S -17.383 -13.711 -5.812
S -17.963 -11.048 -14.666
S -18.193 -12.897 -1.285
S -16.074 -16.847 -2.610
S -16.646 -14.197 -11.459
S -5.512 -10.639 -4.244
S -6.105 -7.971 -13.080
S -7.647 -6.682 -2.944
S -8.215 -4.027 -11.769
S -6.911 -7.139 -8.566
O -6.418 -2.921 -2.419
O -7.025 -0.255 -11.228
O -3.805 -7.473 -6.084
O -4.382 -4.793 -14.894
O -6.260 -2.181 -8.774
O -6.825 0.474 -17.605
O -16.530 -9.661 -3.015
O -17.093 -6.977 -11.836
O -14.616 -12.473 -8.412
O -15.272 -9.941 -17.219
O -17.481 -6.766 -8.640
O -18.074 -4.124 -17.475
O -11.598 -13.453 -6.201
O -12.195 -10.802 -15.003
O -14.265 -8.858 -2.569
O -14.858 -6.153 -11.368
O -11.710 -14.129 0.242
O -12.407 -11.464 -8.580
O -1.576 -6.636 -5.628
O -2.139 -3.971 -14.443
O -3.478 -3.812 -0.088
O -4.053 -1.182 -8.958
O -0.545 -9.607 0.049
O -1.148 -6.936 -8.800
O -12.653 -7.455 -8.184
O -13.243 -4.744 -17.055
O -13.340 -6.629 -5.141
O -13.941 -3.915 -14.014
O -11.888 -9.379 -5.759
O -12.435 -6.762 -14.583
O -1.310 -3.361 -6.890
O -1.893 -0.659 -15.750
O -2.761 -0.708 -5.699
O -3.316 1.926 -14.517
O -1.720 -3.081 -3.720
O -2.332 -0.373 -12.553
O 0.213 -1.648 -3.416
O -0.366 1.021 -12.259
O 0.926 -2.552 -6.429
O 0.342 0.142 -15.278
O -0.562 0.299 -5.892
O -1.125 2.930 -14.720
O -11.110 -5.780 -4.723
O -11.688 -3.115 -13.536
O -9.697 -8.379 -5.966
O -10.245 -5.735 -14.784
O -10.716 -6.027 -7.889
O -11.295 -3.342 -16.749
O -18.330 -14.661 -5.158
O -18.913 -11.981 -14.018
O -19.013 -13.841 -2.098
O -19.691 -11.229 -11.026
O -17.543 -16.623 -2.741
O -18.105 -14.000 -11.582
O -6.937 -10.567 -3.896
O -7.530 -7.881 -12.691
O -8.403 -7.916 -2.685
O -8.951 -5.273 -11.481
O -7.465 -10.330 -0.751
O -7.945 -7.598 -9.509
O -5.309 -8.786 -0.406
O -5.981 -6.186 -9.227
O -4.682 -9.738 -3.418
O -5.287 -7.037 -12.258
O -6.186 -6.884 -2.865
O -6.745 -4.264 -11.662
O -16.776 -13.010 -1.654
O -17.210 -10.324 -10.546
O -15.344 -15.612 -2.934
O -15.886 -12.975 -11.765
O -16.349 -13.259 -4.878
O -16.943 -10.567 -13.719
O -5.560 -11.176 0.857
O -6.140 -8.297 -8.069
O -5.347 -10.263 -5.671
O -5.981 -7.614 -14.513
O -8.076 -5.653 -1.962
O -8.591 -2.986 -10.786
O -18.687 -11.532 -1.458
O -19.410 -8.714 -10.332
O -15.778 -17.321 -1.253
O -16.360 -14.670 -10.083
O -16.789 -14.403 -6.984
O -17.344 -11.738 -15.802
O -12.512 -5.337 -9.345
O -13.050 -2.600 -18.208
O -12.608 -6.067 -2.881
O -13.285 -3.402 -11.744
O -10.048 -10.668 -6.632
O -10.523 -8.020 -15.454
O 0.608 -4.837 -7.092
O -0.013 -2.149 -15.949
O -2.333 1.009 -7.357
O -2.921 3.619 -16.178
O -1.376 -1.960 -1.622
O -1.925 0.755 -10.443
O -15.711 -7.478 -7.183
O -16.322 -4.814 -15.992
O -14.979 -9.361 -4.834
O -15.556 -6.680 -13.641
O -14.291 -10.181 -7.743
O -14.995 -7.435 -16.470
O -3.505 -5.174 -5.425
O -4.067 -2.501 -14.230
O -4.492 -2.902 -7.296
O -5.050 -0.234 -16.139
O -4.864 -2.656 -4.225
O -5.469 0.012 -13.055
O -18.142 -12.525 -6.297
O -18.727 -9.851 -15.167
O -18.858 -10.616 -8.519
O -19.481 -7.971 -17.530
O -19.576 -9.801 -5.736
O -20.137 -7.160 -14.584
O -8.920 -3.941 -6.227
O -9.509 -1.241 -15.018
O -7.949 -6.177 -4.327
O -8.512 -3.531 -13.129
O -7.535 -6.446 -7.400
O -8.133 -3.695 -16.086
O 0.072 -3.776 -2.262
O -0.552 -1.120 -11.130
O 0.840 -5.692 0.144
O 0.244 -3.081 -8.707
O 1.508 -6.519 -2.853
O 0.942 -3.875 -11.685
O -9.113 -12.433 -2.384
O -9.650 -9.723 -11.181
O -10.092 -10.074 -4.289
O -10.652 -7.425 -13.120
O -10.526 -9.803 -1.159
O -11.072 -7.159 -9.981
O -2.321 -8.887 -1.417
O -2.953 -6.236 -10.236
O -3.137 -6.946 -3.809
O -3.714 -4.281 -12.637
O -3.783 -6.082 -0.809
O -4.407 -3.465 -9.645
O -14.628 -11.130 -3.237
O -15.172 -8.440 -12.036
O -13.650 -13.394 -1.365
O -14.147 -10.780 -10.085
O -13.188 -13.703 -4.410
O -13.809 -11.047 -13.227
```

Output
**DFT total energy**: -1492.11 eV per cell
**ΔE_f**: -2.679 eV per atom
**Crystal system**: triclinic

---

Record 2
Density functional theory data (GGA-PBE) for a relaxed NaLiCO3 crystal.

extended XYZ file:
```
18
Lattice="4.199 -7.272 0.000 4.199 7.272 0.000 0.000 0.000 3.340" Properties=species:S:1:pos:R:3 pbc="T T T"
Na 2.573 -0.208 1.670
Na 3.092 -4.940 1.670
Na 6.931 -2.124 1.670
Li 5.497 4.543 0.000
Li 5.385 0.241 0.000
Li 1.714 2.488 0.000
C 0.000 0.000 0.000
C 4.199 -2.424 0.000
C 4.199 2.424 1.670
O 3.038 -1.838 0.000
O 4.271 -3.722 0.000
O 5.287 -1.713 0.000
O 7.268 0.645 0.000
O 4.205 5.972 0.000
O 4.561 1.170 1.670
O 2.931 2.737 1.670
O 5.104 3.365 1.670
O 1.123 0.656 0.000
```

Output
**DFT total energy**: -114.78 eV per cell
**Polymorph energy (0 for the lowest one)**: 0.3 meV/atom
**ΔE_f**: -2.169 eV per atom
**Crystal system**: hexagonal

---

Record 3
Density functional theory data (GGA-PBE) for a relaxed RbUB5O11F crystal.

extended XYZ file:
```
38
Lattice="-3.463 -5.335 1.380 0.446 -2.697 5.906 -11.172 7.263 5.416" Properties=species:S:1:pos:R:3 pbc="T T T"
Rb -6.251 2.696 5.096
Rb -1.716 -1.645 1.171
U -3.729 -0.474 6.966
U -12.188 1.219 6.347
B -10.411 3.425 5.094
B -3.250 0.856 4.209
B -5.173 -0.530 3.461
B -9.669 3.837 7.431
B -6.398 -1.989 5.127
B -10.694 2.514 9.329
B -5.003 -3.327 6.829
B -11.060 -0.013 8.992
B -8.745 -0.628 9.366
B -4.357 -5.068 5.270
O -9.159 2.806 4.622
O -2.203 0.098 3.499
O -6.096 -1.498 3.743
O -9.698 3.472 8.748
O -5.200 -2.137 5.958
O -10.969 1.371 8.454
O -7.071 -3.279 4.816
O -10.005 2.142 10.595
O -7.558 -1.210 8.977
O -3.416 -5.816 4.596
O -6.270 -4.070 6.943
O -11.156 0.033 10.461
O -4.431 0.020 4.489
O -10.575 3.275 6.551
O -9.869 -0.802 8.604
O -3.962 -4.217 6.267
O -2.302 -1.465 6.493
O -10.912 0.126 5.700
O -5.135 0.542 7.430
O -13.463 2.323 6.964
O -4.513 -2.760 8.093
O -12.241 -0.574 8.321
F -7.319 -1.107 5.748
F -11.896 3.206 9.625
```

Output
**DFT total energy**: -297.95 eV per cell
**ΔE_f**: -2.894 eV per atom
**Crystal system**: monoclinic

---

| no. | density (g/cm³) |
| --- | --- |
| 1 | 2.657 |
| 2 | 2.197 |
| 3 | 3.609 |